Below is a relaxed structure of K3Fe22O34, with properties calculated at the PBE with a Hubbard U level.

Geometry as POSCAR:
```
K3Fe22O34
1.0
5.803 0.000 0.000
2.898 5.028 0.000
0.014 0.020 23.513
K Fe O
3 22 34
Direct
0.000 0.000 0.000
0.279 0.438 0.501
0.597 0.838 0.500
0.009 0.020 0.421
0.009 0.021 0.580
0.015 0.014 0.725
0.015 0.015 0.276
0.017 0.513 0.355
0.017 0.513 0.647
0.344 0.848 0.147
0.344 0.848 0.854
0.345 0.347 0.923
0.347 0.346 0.078
0.347 0.347 0.225
0.348 0.346 0.776
0.512 0.018 0.355
0.512 0.018 0.646
0.512 0.512 0.355
0.512 0.512 0.646
0.680 0.682 0.251
0.681 0.680 0.750
0.848 0.344 0.147
0.848 0.345 0.854
0.848 0.848 0.147
0.848 0.848 0.854
0.013 0.014 0.194
0.013 0.014 0.808
0.034 0.981 0.500
0.167 0.168 0.897
0.168 0.168 0.104
0.168 0.702 0.104
0.168 0.703 0.897
0.189 0.663 0.604
0.190 0.661 0.397
0.195 0.196 0.400
0.195 0.197 0.601
0.347 0.347 0.308
0.347 0.347 0.693
0.351 0.352 0.000
0.368 0.837 0.308
0.368 0.837 0.693
0.523 0.994 0.194
0.524 0.524 0.807
0.524 0.525 0.194
0.524 0.993 0.807
0.648 0.196 0.400
0.648 0.197 0.601
0.680 0.680 0.108
0.680 0.680 0.893
0.681 0.679 0.395
0.681 0.680 0.606
0.703 0.168 0.104
0.703 0.168 0.897
0.836 0.838 0.693
0.837 0.365 0.693
0.837 0.366 0.308
0.837 0.838 0.308
0.993 0.524 0.194
0.993 0.524 0.807
```

Calculated values
- Energy relative to the elements: -1.516 eV per atom
- Space-group type: P1 (1)
- Crystal system: triclinic
- Total moment: 107.505 μB per formula unit
- E above lowest polymorph: 0.1315 eV/atom

---

Below is a relaxed structure of K3Fe4O8, with properties calculated at the PBE with a Hubbard U level.

Geometry as POSCAR:
```
K3Fe4O8
1.0
6.216 0.000 0.000
0.000 6.216 0.000
0.000 0.000 7.976
K Fe O
3 4 8
Direct
0.000 0.000 0.000
0.000 0.500 0.293
0.500 0.000 0.707
0.000 0.000 0.500
0.000 0.500 0.757
0.500 0.000 0.243
0.500 0.500 0.000
0.000 0.243 0.638
0.000 0.757 0.638
0.233 0.500 0.904
0.243 0.000 0.362
0.500 0.233 0.096
0.500 0.767 0.096
0.757 0.000 0.362
0.767 0.500 0.904
```

Calculated values
- Energy relative to the elements: -1.562 eV per atom
- Space-group type: P-4m2 (115)
- Crystal system: tetragonal
- Total moment: 19.000 μB per formula unit

---

Below is a relaxed structure of KFeO3, with properties calculated at the PBE with a Hubbard U level.

Geometry as POSCAR:
```
KFeO3
1.0
5.090 0.000 0.000
0.000 5.611 0.000
0.000 0.000 13.329
K Fe O
4 4 12
Direct
0.238 0.250 0.091
0.262 0.750 0.591
0.738 0.250 0.409
0.762 0.750 0.909
0.186 0.750 0.329
0.314 0.250 0.829
0.686 0.750 0.171
0.814 0.250 0.671
0.156 0.250 0.705
0.248 0.505 0.397
0.248 0.995 0.397
0.252 0.005 0.897
0.252 0.495 0.897
0.344 0.750 0.205
0.656 0.250 0.795
0.748 0.505 0.103
0.748 0.995 0.103
0.752 0.005 0.603
0.752 0.495 0.603
0.844 0.750 0.295
```

Calculated values
- Energy relative to the elements: -1.274 eV per atom
- Space-group type: Pnma (62)
- Crystal system: orthorhombic
- Total moment: 3.000 μB per formula unit

---

Below is a relaxed structure of K7Fe5O16, with properties calculated at the PBE with a Hubbard U level.

Geometry as POSCAR:
```
K7Fe5O16
1.0
9.649 0.000 0.000
0.000 5.673 0.000
-0.199 0.000 10.801
K Fe O
7 5 16
Direct
0.000 0.000 0.000
0.014 0.500 0.750
0.141 0.500 0.324
0.472 0.000 0.255
0.519 0.500 0.569
0.619 0.500 0.973
0.841 0.000 0.481
0.243 0.500 0.005
0.272 0.000 0.520
0.349 0.000 0.842
0.710 0.000 0.807
0.736 0.500 0.333
0.091 0.500 0.083
0.102 0.000 0.530
0.238 0.248 0.897
0.238 0.752 0.897
0.325 0.235 0.443
0.325 0.765 0.443
0.347 0.000 0.667
0.377 0.500 0.108
0.532 0.000 0.889
0.648 0.266 0.380
0.648 0.734 0.380
0.664 0.000 0.659
0.753 0.500 0.182
0.809 0.236 0.849
0.809 0.764 0.849
0.889 0.500 0.408
```

Calculated values
- Energy relative to the elements: -1.370 eV per atom
- Space-group type: Pm (6)
- Crystal system: monoclinic
- Total moment: 14.998 μB per formula unit

---

Below is a relaxed structure of KFeO2, with properties calculated at the PBE with a Hubbard U level.

Geometry as POSCAR:
```
KFeO2
1.0
-1.856 -6.139 -0.005
6.802 -0.424 -0.134
0.844 -1.933 6.515
K Fe O
4 4 8
Direct
0.751 0.667 0.671
0.251 0.667 0.671
0.249 0.333 0.329
0.749 0.333 0.329
0.923 0.846 0.159
0.577 0.154 0.841
0.423 0.846 0.159
0.077 0.154 0.841
0.001 0.137 0.130
0.501 0.137 0.130
0.999 0.862 0.870
0.499 0.863 0.870
0.889 0.279 0.713
0.389 0.279 0.713
0.111 0.721 0.287
0.611 0.721 0.287
```

Calculated values
- Energy relative to the elements: -1.693 eV per atom
- Total moment: 0.000 μB per formula unit

---

Below is a relaxed structure of K2FeP4O15, with properties calculated at the PBE with a Hubbard U level.

Geometry as POSCAR:
```
K2FeP4O15
1.0
19.958 0.000 0.000
0.000 5.223 0.000
0.000 0.000 13.904
K Fe P O
8 4 16 60
Direct
0.068 0.229 0.000
0.222 0.983 0.325
0.278 0.983 0.825
0.432 0.229 0.500
0.568 0.771 0.000
0.722 0.017 0.325
0.778 0.017 0.825
0.932 0.771 0.500
0.141 0.931 0.594
0.359 0.931 0.094
0.641 0.069 0.594
0.859 0.069 0.094
0.017 0.190 0.719
0.099 0.430 0.445
0.149 0.434 0.738
0.199 0.757 0.054
0.301 0.757 0.554
0.351 0.434 0.238
0.401 0.430 0.945
0.483 0.190 0.219
0.517 0.810 0.719
0.599 0.570 0.445
0.649 0.566 0.738
0.699 0.243 0.054
0.801 0.243 0.554
0.851 0.566 0.238
0.901 0.570 0.945
0.983 0.810 0.219
0.003 0.073 0.818
0.025 0.411 0.415
0.048 0.001 0.647
0.048 0.693 0.181
0.069 0.425 0.732
0.102 0.632 0.526
0.125 0.169 0.482
0.139 0.504 0.355
0.152 0.803 0.968
0.168 0.705 0.706
0.172 0.374 0.840
0.177 0.912 0.143
0.178 0.226 0.671
0.193 0.470 0.077
0.229 0.839 0.527
0.271 0.839 0.027
0.307 0.470 0.577
0.322 0.226 0.171
0.323 0.912 0.643
0.328 0.374 0.340
0.332 0.705 0.206
0.348 0.803 0.468
0.361 0.504 0.855
0.375 0.169 0.982
0.398 0.632 0.026
0.431 0.425 0.232
0.452 0.001 0.147
0.452 0.693 0.681
0.475 0.411 0.915
0.497 0.073 0.318
0.503 0.927 0.818
0.525 0.589 0.415
0.548 0.307 0.181
0.548 0.999 0.647
0.569 0.575 0.732
0.602 0.368 0.526
0.625 0.831 0.482
0.639 0.496 0.355
0.652 0.197 0.968
0.668 0.295 0.706
0.672 0.626 0.840
0.677 0.088 0.143
0.678 0.774 0.671
0.693 0.530 0.077
0.729 0.161 0.527
0.771 0.161 0.027
0.807 0.530 0.577
0.822 0.774 0.171
0.823 0.088 0.643
0.828 0.626 0.340
0.832 0.295 0.206
0.848 0.197 0.468
0.861 0.496 0.855
0.875 0.831 0.982
0.898 0.368 0.026
0.931 0.575 0.232
0.952 0.307 0.681
0.952 0.999 0.147
0.975 0.589 0.915
0.997 0.927 0.318
```

Calculated values
- Energy relative to the elements: -1.966 eV per atom
- Space-group type: Pca2_1 (29)
- Crystal system: orthorhombic
- Total moment: 2.502 μB per formula unit